# Rb2RuO4

A geometry-optimized Rb2RuO4 structure (PBE, Materials Project).

The structure in CIF format:
```
data_Rb2RuO4
_chemical_formula_sum 'Rb8 Ru4 O16'
_cell_length_a 8.2413
_cell_length_b 6.3889
_cell_length_c 11.2564
_cell_angle_alpha 90.00
_cell_angle_beta 90.00
_cell_angle_gamma 90.00
_space_group_name_H-M_alt 'P n m a'
_space_group_IT_number 62
_space_group_name_Hall '-P 2ac 2n'
loop_
_atom_site_label
_atom_site_type_symbol
_atom_site_fract_x
_atom_site_fract_y
_atom_site_fract_z
Rb1 Rb 0.0066 0.2500 0.2049
Rb2 Rb 0.1634 0.7500 0.4190
Ru1 Ru 0.2209 0.7500 0.0786
O1 O 0.0042 0.7500 0.0759
O2 O 0.1950 0.2500 0.4302
O3 O 0.2025 0.0204 0.6526
```

Computed properties:
For the total energy, the calculation gives -5.75 eV per atom. The volume is 592.7 Å³ per cell. The MP2020-corrected energy is -0.2259 hartree per atom. For the formation energy, the calculation gives -1715 meV per atom.

=====

# RbRu4O8

A geometry-optimized RbRu4O8 structure (PBE, Materials Project).

The structure in CIF format:
```
data_RbRu4O8
_chemical_formula_sum 'Rb2 Ru8 O16'
_cell_length_a 10.0933
_cell_length_b 10.0933
_cell_length_c 3.1893
_cell_angle_alpha 90.00
_cell_angle_beta 90.00
_cell_angle_gamma 90.00
_space_group_name_H-M_alt 'I 4/m'
_space_group_IT_number 87
_space_group_name_Hall '-I 4'
loop_
_atom_site_label
_atom_site_type_symbol
_atom_site_fract_x
_atom_site_fract_y
_atom_site_fract_z
Rb1 Rb 0.0000 0.0000 0.0000
Ru1 Ru 0.1473 0.6652 0.0000
O1 O 0.0455 0.3448 0.0000
O2 O 0.1547 0.7961 0.5000
```

Computed properties:
For the total energy, the calculation gives -7.03 eV per atom. The volume is 324.9 Å³ per cell. The MP2020-corrected energy is -0.2738 hartree per atom. For the formation energy, the calculation gives -1476 meV per atom.

=====

# RbRuO3

A geometry-optimized RbRuO3 structure (PBE, Materials Project).

The structure in CIF format:
```
data_RbRuO3
_chemical_formula_sum 'Rb1 Ru1 O3'
_cell_length_a 3.9786
_cell_length_b 3.9786
_cell_length_c 3.9786
_cell_angle_alpha 90.00
_cell_angle_beta 90.00
_cell_angle_gamma 90.00
_space_group_name_H-M_alt 'P m -3 m'
_space_group_IT_number 221
_space_group_name_Hall '-P 4 2 3'
loop_
_atom_site_label
_atom_site_type_symbol
_atom_site_fract_x
_atom_site_fract_y
_atom_site_fract_z
Rb1 Rb 0.0000 0.0000 0.0000
Ru1 Ru 0.5000 0.5000 0.5000
O1 O 0.0000 0.5000 0.5000
```

Computed properties:
The calculation puts the total magnetization at 0.04 μB per formula unit. For the total energy, the calculation gives -6.05 eV per atom. The volume is 63.0 Å³ per cell. The MP2020-corrected energy is -0.2373 hartree per atom. For the formation energy, the calculation gives -1438 meV per atom.

=====

# RbSO4

A geometry-optimized RbSO4 structure (PBE, Materials Project).

The structure in CIF format:
```
data_RbSO4
_chemical_formula_sum 'Rb4 S4 O16'
_cell_length_a 7.4698
_cell_length_b 7.9204
_cell_length_c 9.7980
_cell_angle_alpha 90.00
_cell_angle_beta 129.46
_cell_angle_gamma 90.00
_space_group_name_H-M_alt 'P 1 21/c 1'
_space_group_IT_number 14
_space_group_name_Hall '-P 2ybc'
loop_
_atom_site_label
_atom_site_type_symbol
_atom_site_fract_x
_atom_site_fract_y
_atom_site_fract_z
Rb1 Rb 0.1288 0.1825 0.2301
S1 S 0.3491 0.6858 0.2451
O1 O 0.1670 0.6827 0.6709
O2 O 0.3092 0.5467 0.3264
O3 O 0.3388 0.6116 0.1008
O4 O 0.4165 0.2430 0.6145
```

Computed properties:
The calculation puts the total magnetization at 1.00 μB per formula unit. For the total energy, the calculation gives -5.56 eV per atom. The volume is 447.5 Å³ per cell. The MP2020-corrected energy is -0.2211 hartree per atom. For the formation energy, the calculation gives -1866 meV per atom.

=====

# Rb3S2O8

A geometry-optimized Rb3S2O8 structure (PBE, Materials Project).

The structure in CIF format:
```
data_Rb3S2O8
_chemical_formula_sum 'Rb12 S8 O32'
_cell_length_a 15.4229
_cell_length_b 6.0099
_cell_length_c 10.2452
_cell_angle_alpha 90.00
_cell_angle_beta 102.63
_cell_angle_gamma 90.00
_space_group_name_H-M_alt 'C 1 2/c 1'
_space_group_IT_number 15
_space_group_name_Hall '-C 2yc'
loop_
_atom_site_label
_atom_site_type_symbol
_atom_site_fract_x
_atom_site_fract_y
_atom_site_fract_z
Rb1 Rb 0.0000 0.2463 0.2500
Rb2 Rb 0.1893 0.2727 0.6511
S1 S 0.1138 0.2159 0.9648
O1 O 0.0140 0.1884 0.9408
O2 O 0.1267 0.4299 0.8965
O3 O 0.1519 0.2300 0.1106
O4 O 0.1526 0.0256 0.9045
```

Computed properties:
For the total energy, the calculation gives -5.59 eV per atom. The volume is 926.7 Å³ per cell. The MP2020-corrected energy is -0.2210 hartree per atom. For the formation energy, the calculation gives -2105 meV per atom.

=====

# Rb3S2O8

A geometry-optimized Rb3S2O8 structure (PBE, Materials Project).

The structure in CIF format:
```
data_Rb3S2O8
_chemical_formula_sum 'Rb48 S32 O128'
_cell_length_a 20.6518
_cell_length_b 11.8914
_cell_length_c 16.5832
_cell_angle_alpha 90.00
_cell_angle_beta 114.54
_cell_angle_gamma 90.00
_space_group_name_H-M_alt 'C 1 2/c 1'
_space_group_IT_number 15
_space_group_name_Hall '-C 2yc'
loop_
_atom_site_label
_atom_site_type_symbol
_atom_site_fract_x
_atom_site_fract_y
_atom_site_fract_z
Rb1 Rb 0.0000 0.2491 0.2500
Rb2 Rb 0.0000 0.2500 0.7500
Rb3 Rb 0.1038 0.2400 0.5603
Rb4 Rb 0.1037 0.2491 0.0604
Rb5 Rb 0.1421 0.4949 0.4401
Rb6 Rb 0.1527 0.0034 0.9397
Rb7 Rb 0.2491 0.4997 0.2499
S1 S 0.0355 0.0047 0.1366
S2 S 0.0521 0.4898 0.6358
S3 S 0.2032 0.2654 0.8643
S4 S 0.2059 0.2529 0.3642
O1 O 0.0036 0.3921 0.6008
O2 O 0.0062 0.0988 0.8994
O3 O 0.0075 0.1066 0.4032
O4 O 0.0105 0.4033 0.1181
O5 O 0.0599 0.0078 0.2359
O6 O 0.0902 0.4810 0.7352
O7 O 0.1024 0.0042 0.1222
O8 O 0.1052 0.4941 0.5970
O9 O 0.1464 0.2590 0.8974
O10 O 0.1467 0.2540 0.3938
O11 O 0.1692 0.2772 0.7646
O12 O 0.1750 0.2568 0.2657
O13 O 0.2446 0.1580 0.8830
O14 O 0.2474 0.1470 0.5993
O15 O 0.2490 0.1377 0.0961
O16 O 0.2487 0.1478 0.3950
```

Computed properties:
The calculation puts the total magnetization at 1.09 μB per formula unit. For the total energy, the calculation gives -5.59 eV per atom. The volume is 3704.6 Å³ per cell. The MP2020-corrected energy is -0.2209 hartree per atom. For the formation energy, the calculation gives -2104 meV per atom.

=====

# Rb2SO4

A geometry-optimized Rb2SO4 structure (PBE, Materials Project).

The structure in CIF format:
```
data_Rb2SO4
_chemical_formula_sum 'Rb8 S4 O16'
_cell_length_a 7.9761
_cell_length_b 6.0783
_cell_length_c 10.6545
_cell_angle_alpha 90.00
_cell_angle_beta 90.00
_cell_angle_gamma 90.00
_space_group_name_H-M_alt 'P n m a'
_space_group_IT_number 62
_space_group_name_Hall '-P 2ac 2n'
loop_
_atom_site_label
_atom_site_type_symbol
_atom_site_fract_x
_atom_site_fract_y
_atom_site_fract_z
Rb1 Rb 0.0085 0.2500 0.2002
Rb2 Rb 0.1739 0.7500 0.4116
S1 S 0.2352 0.7500 0.0819
O1 O 0.0484 0.7500 0.0840
O2 O 0.2000 0.0486 0.6471
O3 O 0.2018 0.2500 0.4489
```

Computed properties:
For the total energy, the calculation gives -5.57 eV per atom. The volume is 516.5 Å³ per cell. The MP2020-corrected energy is -0.2192 hartree per atom. For the formation energy, the calculation gives -2265 meV per atom.

=====

# RbSO4

A geometry-optimized RbSO4 structure (PBE, Materials Project).

The structure in CIF format:
```
data_RbSO4
_chemical_formula_sum 'Rb4 S4 O16'
_cell_length_a 7.6104
_cell_length_b 7.9366
_cell_length_c 7.6717
_cell_angle_alpha 90.00
_cell_angle_beta 112.14
_cell_angle_gamma 90.00
_space_group_name_H-M_alt 'P 1 21 1'
_space_group_IT_number 4
_space_group_name_Hall 'P 2yb'
loop_
_atom_site_label
_atom_site_type_symbol
_atom_site_fract_x
_atom_site_fract_y
_atom_site_fract_z
Rb1 Rb 0.2155 0.0000 0.4587
Rb2 Rb 0.2184 0.2570 0.9637
S1 S 0.2598 0.7528 0.9733
S2 S 0.2612 0.5035 0.4762
O1 O 0.1019 0.6220 0.3922
O2 O 0.1103 0.6290 0.8759
O3 O 0.1852 0.8866 0.0624
O4 O 0.2044 0.3620 0.5705
O5 O 0.3196 0.4274 0.3269
O6 O 0.3316 0.8360 0.8377
O7 O 0.4251 0.6645 0.1154
O8 O 0.4299 0.5942 0.6088
```

Computed properties:
The calculation puts the total magnetization at 1.00 μB per formula unit. For the total energy, the calculation gives -5.57 eV per atom. The volume is 429.2 Å³ per cell. The MP2020-corrected energy is -0.2214 hartree per atom. For the formation energy, the calculation gives -1873 meV per atom.